VASP calculation (PBE) on crystalline Pr4InSbS9 at its relaxed geometry.

Cell: 10.2826 10.2826 28.1877 Å, 90.00 90.00 90.00°
Fractional positions:
S (0.8026, 0.7939, 0.7560)
S (0.8973, 0.4968, 0.0992)
S (0.8170, 0.1830, 0.2500)
S (0.1873, 0.0207, 0.4501)
Pr (0.5565, 0.2282, 0.5924)
S (0.4967, 0.9991, 0.0317)
S (0.8106, 0.2988, 0.3778)
Sb (0.9911, 0.1406, 0.9445)
In (0.2025, 0.0136, 0.2031)
S (0.6830, 0.6830, 0.5000)
Pr (0.0105, 0.6507, 0.8028)
S (0.1932, 0.8068, 0.2500)
Pr (0.2330, 0.9983, 0.5507)
S (0.7020, 0.8248, 0.1235)
S (0.8127, 0.9793, 0.9501)
Pr (0.4895, 0.1507, 0.9472)
In (0.7025, 0.4864, 0.0469)
Pr (0.7282, 0.9435, 0.8424)
Pr (0.9895, 0.3493, 0.3028)
Sb (0.3594, 0.4911, 0.6945)
S (0.2939, 0.6974, 0.0060)
Pr (0.2718, 0.0565, 0.3424)
S (0.1974, 0.2061, 0.2560)
S (0.0207, 0.1873, 0.5499)
Pr (0.9983, 0.2330, 0.4493)
S (0.7061, 0.3026, 0.5060)
S (0.6894, 0.7988, 0.3722)
S (0.3068, 0.3068, 0.5000)
Pr (0.2760, 0.9395, 0.8382)
S (0.3106, 0.2012, 0.8722)
S (0.1027, 0.5032, 0.5992)
S (0.7012, 0.1894, 0.1222)
Pr (0.4435, 0.7718, 0.0924)
Pr (0.1507, 0.4895, 0.0528)
S (0.3248, 0.7980, 0.3735)
Pr (0.4983, 0.2670, 0.8007)
S (0.3973, 0.0032, 0.1508)
S (0.0109, 0.8241, 0.5377)
In (0.9864, 0.7975, 0.2969)
Sb (0.8594, 0.0089, 0.5555)
S (0.5033, 0.0009, 0.5317)
S (0.0009, 0.5033, 0.4683)
S (0.4991, 0.0033, 0.2817)
S (0.3170, 0.3170, 0.0000)
S (0.7980, 0.3248, 0.6265)
S (0.2980, 0.1752, 0.6235)
Pr (0.9395, 0.2760, 0.1618)
In (0.0136, 0.2025, 0.7969)
S (0.1894, 0.7012, 0.8778)
Pr (0.6507, 0.0105, 0.1972)
S (0.6873, 0.4793, 0.7999)
S (0.2988, 0.8106, 0.6222)
S (0.9968, 0.6027, 0.3492)
S (0.6752, 0.2020, 0.8735)
S (0.9991, 0.4967, 0.9683)
S (0.8241, 0.0109, 0.4623)
S (0.5032, 0.1027, 0.4008)
In (0.2975, 0.5136, 0.5469)
Pr (0.0605, 0.7240, 0.6618)
S (0.9891, 0.1759, 0.0377)
Pr (0.2282, 0.5565, 0.4076)
S (0.8068, 0.1932, 0.7500)
S (0.1759, 0.9891, 0.9623)
S (0.7988, 0.6894, 0.6278)
Pr (0.3493, 0.9895, 0.6972)
Sb (0.1406, 0.9911, 0.0555)
Pr (0.2670, 0.4983, 0.1993)
Sb (0.6406, 0.5089, 0.1945)
In (0.4864, 0.7025, 0.9531)
S (0.4891, 0.3241, 0.2123)
S (0.5118, 0.4944, 0.1022)
Pr (0.0017, 0.7670, 0.9493)
S (0.4793, 0.6873, 0.2001)
S (0.3241, 0.4891, 0.7877)
Pr (0.7760, 0.5605, 0.4118)
Sb (0.4911, 0.3594, 0.3055)
S (0.5056, 0.4882, 0.3978)
S (0.2061, 0.1974, 0.7440)
Pr (0.5605, 0.7760, 0.5882)
Pr (0.5017, 0.7330, 0.3007)
Pr (0.5105, 0.8493, 0.4472)
Pr (0.7330, 0.5017, 0.6993)
Sb (0.5089, 0.6406, 0.8055)
S (0.1752, 0.2980, 0.3765)
S (0.0118, 0.0056, 0.1478)
In (0.7975, 0.9864, 0.7031)
Pr (0.7240, 0.0605, 0.3382)
S (0.7939, 0.8026, 0.2440)
S (0.9944, 0.9882, 0.3522)
S (0.2020, 0.6752, 0.1265)
S (0.4968, 0.8973, 0.9008)
S (0.6974, 0.2939, 0.9940)
In (0.5136, 0.2975, 0.4531)
Pr (0.4395, 0.2240, 0.0882)
Pr (0.2240, 0.4395, 0.9118)
S (0.0032, 0.3973, 0.8492)
S (0.5207, 0.3127, 0.7001)
Pr (0.8493, 0.5105, 0.5528)
Pr (0.9435, 0.7282, 0.1576)
Pr (0.0565, 0.2718, 0.6576)
S (0.1830, 0.8170, 0.7500)
S (0.4944, 0.5118, 0.8978)
Pr (0.7718, 0.4435, 0.9076)
S (0.6027, 0.9968, 0.6508)
Sb (0.0089, 0.8594, 0.4445)
S (0.5109, 0.6759, 0.7123)
S (0.3026, 0.7061, 0.4940)
S (0.6932, 0.6932, 0.0000)
S (0.2012, 0.3106, 0.1278)
S (0.9967, 0.5009, 0.2183)
S (0.0033, 0.4991, 0.7183)
S (0.0056, 0.0118, 0.8522)
S (0.3127, 0.5207, 0.2999)
S (0.4882, 0.5056, 0.6022)
S (0.6759, 0.5109, 0.2877)
S (0.5009, 0.9967, 0.7817)
Pr (0.7670, 0.0017, 0.0507)
S (0.8248, 0.7020, 0.8765)
S (0.9793, 0.8127, 0.0499)
S (0.9882, 0.9944, 0.6478)

## Properties
As for the space group: P4_32_12. Its formation energy is -1.815 eV per atom. The calculation puts the volume at 372.54 Å³/f.u.